An optimized crystal structure of CoB3W3, computed with PBE-GGA.

Values from the calculation:
DFT total energy ... -276.50 eV for the cell shown

a b c (Å): 3.1873 8.4799 10.8045
angles (deg): 90.00 90.00 90.00
Last column: nearest neighbours and their distance in Å.
Space group Cmcm (No. 63)
Symmetry-distinct sites (fractional):
Co1 0.0000 0.0000 0.0000 [4 per cell]  4 B 2.07
B1 0.0000 0.2908 0.2500 [4 per cell]  2 B 1.90
B2 0.0000 0.4139 0.1027 [8 per cell]  1 B 1.90, 2 Co 2.07
W1 0.0000 0.0023 0.7500 [4 per cell]  7 B 2.36-2.49
W2 0.0000 0.2886 0.6069 [8 per cell]  6 B 2.32-2.52

***

An optimized crystal structure of CoB2W2, computed with PBE-GGA.

Values from the calculation:
DFT total energy ... -97.36 eV for the cell shown

a b c (Å): 3.1871 4.5810 7.1182
angles (deg): 90.00 90.00 90.00
Last column: nearest neighbours and their distance in Å.
Space group Immm (No. 71)
Symmetry-distinct sites (fractional):
Co1 0.0000 0.0000 0.0000 [2 per cell]  4 B 2.09
B1 0.0000 0.2049 0.5000 [4 per cell]  1 B 1.88, 2 Co 2.09
W1 0.0000 0.5000 0.2004 [4 per cell]  6 B 2.34-2.52

***

Question: Look up the DFT total energy of the first one.
Answer: -276.50 eV for the cell shown

***

Question: What is the DFT total energy in the second record?
Answer: -97.36 eV for the cell shown